a) {
  "formula": "Eu3V",
  "functional": "PBE-GGA",
  "state": "relaxed",
  "cell": [[0.000, 4.062, 4.062], [4.062, 0.000, 4.062], [4.062, 4.062, 0.000]],
  "species": ["Eu", "Eu", "Eu", "V"],
  "frac_coords": [[0.000, 0.000, 0.000], [0.250, 0.250, 0.250], [0.750, 0.750, 0.750], [0.500, 0.500, 0.500]],
  "sg": "No. 225"
}


b) {
  "formula": "Eu3V",
  "functional": "PBE-GGA",
  "state": "relaxed",
  "cell": [[-2.622, 2.622, 4.857], [2.622, -2.622, 4.857], [2.622, 2.622, -4.857]],
  "species": ["Eu", "Eu", "Eu", "V"],
  "frac_coords": [[0.000, 0.000, 0.000], [0.250, 0.750, 0.500], [0.750, 0.250, 0.500], [0.500, 0.500, 0.000]],
  "sg": "No. 139"
}


From most stable to least stable, the computed energies give a), b).


a) {
  "formula": "Eu3Zr",
  "functional": "PBE-GGA",
  "state": "relaxed",
  "cell": [[-2.598, 2.598, 5.093], [2.598, -2.598, 5.093], [2.598, 2.598, -5.093]],
  "species": ["Eu", "Eu", "Eu", "Zr"],
  "frac_coords": [[0.000, 0.000, 0.000], [0.250, 0.750, 0.500], [0.750, 0.250, 0.500], [0.500, 0.500, 0.000]],
  "sg": "No. 139"
}


b) {
  "formula": "Eu3Zr",
  "functional": "PBE-GGA",
  "state": "relaxed",
  "cell": [[5.234, 0.000, 0.000], [0.000, 5.234, 0.000], [0.000, 0.000, 5.234]],
  "species": ["Eu", "Eu", "Eu", "Zr"],
  "frac_coords": [[0.000, 0.000, 0.500], [0.000, 0.500, 0.000], [0.500, 0.000, 0.000], [0.500, 0.500, 0.500]],
  "sg": "No. 221"
}


From most stable to least stable, the computed energies give a), b).


a) {
  "formula": "Li3GaF6",
  "functional": "PBE-GGA",
  "state": "relaxed",
  "cell": [[0.000, 3.851, 3.851], [3.851, 0.000, 3.851], [3.851, 3.851, 0.000]],
  "species": ["Li", "Li", "Li", "Ga", "F", "F", "F", "F", "F", "F"],
  "frac_coords": [[0.000, 0.000, 0.000], [0.250, 0.250, 0.250], [0.750, 0.750, 0.750], [0.500, 0.500, 0.500], [0.254, 0.254, 0.746], [0.254, 0.746, 0.254], [0.254, 0.746, 0.746], [0.746, 0.254, 0.254], [0.746, 0.254, 0.746], [0.746, 0.746, 0.254]],
  "sg": "No. 225"
}


b) {
  "formula": "Li3GaF6",
  "functional": "PBE-GGA",
  "state": "relaxed",
  "cell": [[7.306, -4.358, 0.000], [7.306, 4.358, 0.000], [-0.870, 0.000, 10.149]],
  "species": ["Li", "Li", "Li", "Li", "Li", "Li", "Li", "Li", "Li", "Li", "Li", "Li", "Li", "Li", "Li", "Li", "Li", "Li", "Ga", "Ga", "Ga", "Ga", "Ga", "Ga", "F", "F", "F", "F", "F", "F", "F", "F", "F", "F", "F", "F", "F", "F", "F", "F", "F", "F", "F", "F", "F", "F", "F", "F", "F", "F", "F", "F", "F", "F", "F", "F", "F", "F", "F", "F"],
  "frac_coords": [[0.007, 0.713, 0.230], [0.061, 0.344, 0.431], [0.123, 0.541, 0.948], [0.188, 0.812, 0.750], [0.287, 0.993, 0.270], [0.326, 0.629, 0.462], [0.344, 0.061, 0.931], [0.371, 0.674, 0.038], [0.459, 0.877, 0.552], [0.541, 0.123, 0.448], [0.629, 0.326, 0.962], [0.656, 0.939, 0.069], [0.674, 0.371, 0.538], [0.713, 0.007, 0.730], [0.812, 0.188, 0.250], [0.877, 0.459, 0.052], [0.939, 0.656, 0.569], [0.993, 0.287, 0.770], [0.000, 0.000, 0.000], [0.000, 0.000, 0.500], [0.335, 0.341, 0.704], [0.341, 0.335, 0.204], [0.659, 0.665, 0.796], [0.665, 0.659, 0.296], [0.066, 0.076, 0.165], [0.076, 0.066, 0.665], [0.087, 0.761, 0.062], [0.090, 0.763, 0.566], [0.109, 0.416, 0.606], [0.111, 0.429, 0.110], [0.226, 0.269, 0.835], [0.237, 0.910, 0.934], [0.239, 0.913, 0.438], [0.241, 0.556, 0.305], [0.246, 0.565, 0.802], [0.269, 0.226, 0.335], [0.414, 0.429, 0.068], [0.416, 0.109, 0.106], [0.429, 0.111, 0.610], [0.429, 0.414, 0.568], [0.435, 0.754, 0.698], [0.444, 0.759, 0.195], [0.556, 0.241, 0.805], [0.565, 0.246, 0.302], [0.571, 0.586, 0.432], [0.571, 0.889, 0.390], [0.584, 0.891, 0.894], [0.586, 0.571, 0.932], [0.731, 0.774, 0.665], [0.754, 0.435, 0.198], [0.759, 0.444, 0.695], [0.761, 0.087, 0.562], [0.763, 0.090, 0.066], [0.774, 0.731, 0.165], [0.889, 0.571, 0.890], [0.891, 0.584, 0.394], [0.910, 0.237, 0.434], [0.913, 0.239, 0.938], [0.924, 0.934, 0.335], [0.934, 0.924, 0.835]],
  "sg": "No. 15"
}


From most stable to least stable, the computed energies give b), a).


a) {
  "formula": "NaGdTiNbO6F",
  "functional": "PBE-GGA",
  "state": "relaxed",
  "cell": [[-3.579, 3.779, 5.155], [3.579, -3.779, 5.155], [3.579, 3.779, -5.155]],
  "species": ["Na", "Na", "Gd", "Gd", "Ti", "Ti", "Nb", "Nb", "O", "O", "O", "O", "O", "O", "O", "O", "O", "O", "O", "O", "F", "F"],
  "frac_coords": [[0.500, 0.000, 0.000], [0.500, 0.500, 0.500], [0.000, 0.000, 0.000], [0.500, 0.000, 0.500], [0.000, 0.000, 0.500], [0.000, 0.500, 0.000], [0.000, 0.500, 0.500], [0.500, 0.500, 0.000], [0.064, 0.414, 0.233], [0.064, 0.831, 0.650], [0.080, 0.830, 0.250], [0.317, 0.567, 0.750], [0.319, 0.169, 0.733], [0.319, 0.586, 0.150], [0.681, 0.414, 0.850], [0.681, 0.831, 0.267], [0.683, 0.433, 0.250], [0.920, 0.170, 0.750], [0.936, 0.169, 0.350], [0.936, 0.586, 0.767], [0.372, 0.122, 0.250], [0.628, 0.878, 0.750]],
  "sg": "No. 74"
}


b) {
  "formula": "NaGdTiNbO6F",
  "functional": "PBE-GGA",
  "state": "relaxed",
  "cell": [[7.355, 0.000, 0.000], [0.000, 7.355, 0.000], [0.000, 0.000, 10.410]],
  "species": ["Na", "Na", "Na", "Na", "Gd", "Gd", "Gd", "Gd", "Ti", "Ti", "Ti", "Ti", "Nb", "Nb", "Nb", "Nb", "O", "O", "O", "O", "O", "O", "O", "O", "O", "O", "O", "O", "O", "O", "O", "O", "O", "O", "O", "O", "O", "O", "O", "O", "F", "F", "F", "F"],
  "frac_coords": [[0.000, 0.231, 0.000], [0.000, 0.769, 0.500], [0.231, 0.000, 0.250], [0.769, 0.000, 0.750], [0.216, 0.500, 0.250], [0.500, 0.216, 0.000], [0.500, 0.784, 0.500], [0.784, 0.500, 0.750], [0.267, 0.500, 0.750], [0.500, 0.267, 0.500], [0.500, 0.733, 0.000], [0.733, 0.500, 0.250], [0.000, 0.260, 0.500], [0.000, 0.740, 0.000], [0.260, 0.000, 0.750], [0.740, 0.000, 0.250], [0.053, 0.452, 0.633], [0.053, 0.548, 0.867], [0.064, 0.064, 0.625], [0.064, 0.936, 0.875], [0.251, 0.277, 0.426], [0.251, 0.723, 0.074], [0.277, 0.251, 0.824], [0.277, 0.749, 0.676], [0.452, 0.053, 0.617], [0.452, 0.947, 0.883], [0.455, 0.455, 0.625], [0.455, 0.545, 0.875], [0.545, 0.455, 0.375], [0.545, 0.545, 0.125], [0.548, 0.053, 0.383], [0.548, 0.947, 0.117], [0.723, 0.251, 0.176], [0.723, 0.749, 0.324], [0.749, 0.277, 0.574], [0.749, 0.723, 0.926], [0.936, 0.064, 0.375], [0.936, 0.936, 0.125], [0.947, 0.452, 0.367], [0.947, 0.548, 0.133], [0.247, 0.247, 0.125], [0.247, 0.753, 0.375], [0.753, 0.247, 0.875], [0.753, 0.753, 0.625]],
  "sg": "No. 95"
}


From most stable to least stable, the computed energies give b), a).


a) {
  "formula": "GeN3F7",
  "functional": "PBE-GGA",
  "state": "relaxed",
  "cell": [[8.547, 0.000, 0.000], [0.000, 8.547, 0.000], [0.000, 0.000, 5.571]],
  "species": ["Ge", "Ge", "N", "N", "N", "N", "N", "N", "F", "F", "F", "F", "F", "F", "F", "F", "F", "F", "F", "F", "F", "F"],
  "frac_coords": [[0.000, 0.500, 0.000], [0.500, 0.000, 0.000], [0.000, 0.000, 0.000], [0.227, 0.273, 0.500], [0.273, 0.773, 0.500], [0.500, 0.500, 0.000], [0.727, 0.227, 0.500], [0.773, 0.727, 0.500], [0.000, 0.000, 0.500], [0.154, 0.654, 0.000], [0.155, 0.345, 0.305], [0.155, 0.345, 0.695], [0.345, 0.845, 0.305], [0.345, 0.845, 0.695], [0.346, 0.154, 0.000], [0.500, 0.500, 0.500], [0.654, 0.846, 0.000], [0.655, 0.155, 0.305], [0.655, 0.155, 0.695], [0.845, 0.655, 0.305], [0.845, 0.655, 0.695], [0.846, 0.346, 0.000]],
  "sg": "No. 127"
}


b) {
  "formula": "GeN3F7",
  "functional": "PBE-GGA",
  "state": "relaxed",
  "cell": [[5.941, 0.000, 0.000], [0.000, 11.654, 0.000], [-1.030, 0.000, 11.040]],
  "species": ["Ge", "Ge", "Ge", "Ge", "N", "N", "N", "N", "N", "N", "N", "N", "N", "N", "N", "N", "F", "F", "F", "F", "F", "F", "F", "F", "F", "F", "F", "F", "F", "F", "F", "F", "F", "F", "F", "F", "F", "F", "F", "F", "F", "F", "F", "F"],
  "frac_coords": [[0.000, 0.000, 0.000], [0.000, 0.000, 0.500], [0.000, 0.500, 0.000], [0.000, 0.500, 0.500], [0.033, 0.236, 0.283], [0.033, 0.264, 0.783], [0.424, 0.005, 0.252], [0.424, 0.495, 0.752], [0.465, 0.728, 0.491], [0.465, 0.772, 0.991], [0.535, 0.228, 0.009], [0.535, 0.272, 0.509], [0.576, 0.505, 0.248], [0.576, 0.995, 0.748], [0.967, 0.736, 0.217], [0.967, 0.764, 0.717], [0.008, 0.618, 0.182], [0.008, 0.882, 0.682], [0.031, 0.147, 0.029], [0.031, 0.353, 0.529], [0.158, 0.598, 0.923], [0.158, 0.902, 0.423], [0.225, 0.006, 0.908], [0.225, 0.494, 0.408], [0.249, 0.070, 0.556], [0.249, 0.430, 0.056], [0.256, 0.238, 0.272], [0.256, 0.262, 0.772], [0.279, 0.556, 0.674], [0.279, 0.944, 0.174], [0.721, 0.056, 0.826], [0.721, 0.444, 0.326], [0.744, 0.738, 0.228], [0.744, 0.762, 0.728], [0.751, 0.570, 0.944], [0.751, 0.930, 0.444], [0.775, 0.506, 0.592], [0.775, 0.994, 0.092], [0.842, 0.098, 0.577], [0.842, 0.402, 0.077], [0.969, 0.647, 0.471], [0.969, 0.853, 0.971], [0.992, 0.118, 0.318], [0.992, 0.382, 0.818]],
  "sg": "No. 14"
}


From most stable to least stable, the computed energies give b), a).


a) {
  "formula": "Na2GeF6",
  "functional": "PBE-GGA",
  "state": "relaxed",
  "cell": [[9.564, 0.000, 0.000], [-4.782, 8.283, 0.000], [0.000, 0.000, 4.673]],
  "species": ["Na", "Na", "Na", "Na", "Na", "Na", "Ge", "Ge", "Ge", "F", "F", "F", "F", "F", "F", "F", "F", "F", "F", "F", "F", "F", "F", "F", "F", "F", "F"],
  "frac_coords": [[0.000, 0.343, 0.000], [0.000, 0.657, 0.000], [0.343, 0.000, 0.000], [0.343, 0.343, 0.000], [0.657, 0.000, 0.000], [0.657, 0.657, 0.000], [0.000, 0.000, 0.000], [0.333, 0.667, 0.500], [0.667, 0.333, 0.500], [0.093, 0.186, 0.214], [0.093, 0.907, 0.214], [0.150, 0.575, 0.275], [0.186, 0.093, 0.786], [0.242, 0.484, 0.723], [0.242, 0.758, 0.723], [0.425, 0.575, 0.275], [0.425, 0.850, 0.275], [0.484, 0.242, 0.277], [0.516, 0.758, 0.723], [0.575, 0.150, 0.725], [0.575, 0.425, 0.725], [0.758, 0.242, 0.277], [0.758, 0.516, 0.277], [0.814, 0.907, 0.214], [0.850, 0.425, 0.725], [0.907, 0.093, 0.786], [0.907, 0.814, 0.786]],
  "sg": "No. 164"
}


b) {
  "formula": "Na2GeF6",
  "functional": "PBE-GGA",
  "state": "relaxed",
  "cell": [[9.232, 0.000, 0.000], [-4.616, 7.995, 0.000], [0.000, 0.000, 5.190]],
  "species": ["Na", "Na", "Na", "Na", "Na", "Na", "Ge", "Ge", "Ge", "F", "F", "F", "F", "F", "F", "F", "F", "F", "F", "F", "F", "F", "F", "F", "F", "F", "F"],
  "frac_coords": [[0.000, 0.375, 0.000], [0.000, 0.710, 0.500], [0.290, 0.290, 0.500], [0.375, 0.000, 0.000], [0.625, 0.625, 0.000], [0.710, 0.000, 0.500], [0.000, 0.000, 0.000], [0.333, 0.667, 0.495], [0.667, 0.333, 0.505], [0.086, 0.188, 0.201], [0.102, 0.914, 0.201], [0.146, 0.593, 0.292], [0.188, 0.086, 0.799], [0.225, 0.479, 0.697], [0.254, 0.775, 0.697], [0.407, 0.553, 0.292], [0.447, 0.854, 0.292], [0.479, 0.225, 0.303], [0.521, 0.746, 0.697], [0.553, 0.407, 0.708], [0.593, 0.146, 0.708], [0.746, 0.521, 0.303], [0.775, 0.254, 0.303], [0.812, 0.898, 0.201], [0.854, 0.447, 0.708], [0.898, 0.812, 0.799], [0.914, 0.102, 0.799]],
  "sg": "No. 150",
  "e_ij_max_c_m2": 0.12
}


From most stable to least stable, the computed energies give b), a).


a) {
  "formula": "TlGeF3",
  "functional": "PBE-GGA",
  "state": "relaxed",
  "cell": [[4.720, 0.000, 0.000], [-0.031, 4.732, 0.000], [-0.325, -1.001, 4.745]],
  "species": ["Tl", "Ge", "F", "F", "F"],
  "frac_coords": [[0.000, 0.000, 0.000], [0.414, 0.465, 0.532], [0.373, 0.504, 0.924], [0.375, 0.874, 0.583], [0.815, 0.500, 0.589]],
  "sg": "No. 1",
  "e_ij_max_c_m2": 1.16
}


b) {
  "formula": "TlGeF3",
  "functional": "PBE-GGA",
  "state": "relaxed",
  "cell": [[4.872, 0.000, 0.000], [0.000, 6.058, 0.000], [-2.251, 0.000, 7.193]],
  "species": ["Tl", "Tl", "Ge", "Ge", "F", "F", "F", "F", "F", "F"],
  "frac_coords": [[0.153, 0.250, 0.309], [0.847, 0.750, 0.691], [0.451, 0.250, 0.847], [0.549, 0.750, 0.153], [0.176, 0.750, 0.177], [0.328, 0.029, 0.664], [0.328, 0.471, 0.664], [0.672, 0.529, 0.336], [0.672, 0.971, 0.336], [0.824, 0.250, 0.823]],
  "sg": "No. 11"
}


From most stable to least stable, the computed energies give b), a).


a) {
  "formula": "H3F2",
  "functional": "PBE-GGA",
  "state": "relaxed",
  "cell": [[4.524, 0.000, 0.000], [1.394, 4.370, 0.000], [1.553, 1.130, 4.896]],
  "species": ["H", "H", "H", "H", "H", "H", "F", "F", "F", "F"],
  "frac_coords": [[0.000, 0.000, 0.000], [0.017, 0.516, 0.943], [0.433, 0.435, 0.476], [0.520, 0.898, 0.187], [0.547, 0.911, 0.316], [0.919, 0.413, 0.533], [0.015, 0.162, 0.078], [0.025, 0.732, 0.853], [0.267, 0.434, 0.392], [0.702, 0.395, 0.626]],
  "sg": "No. 1",
  "e_ij_max_c_m2": 0.37
}


b) {
  "formula": "H3F2",
  "functional": "PBE-GGA",
  "state": "relaxed",
  "cell": [[4.302, 0.000, 0.000], [0.970, 4.251, 0.000], [1.111, 0.873, 5.900]],
  "species": ["H", "H", "H", "H", "H", "H", "F", "F", "F", "F"],
  "frac_coords": [[0.000, 0.000, 0.000], [0.006, 0.508, 0.967], [0.413, 0.418, 0.510], [0.501, 0.885, 0.217], [0.551, 0.908, 0.323], [0.907, 0.405, 0.545], [0.008, 0.184, 0.073], [0.011, 0.729, 0.889], [0.224, 0.427, 0.433], [0.686, 0.386, 0.625]],
  "sg": "No. 1"
}


From most stable to least stable, the computed energies give b), a).